Here is Mn5Ge2N6 after structural relaxation from Materials Project. Energies are from PBE-GGA.

Lattice parameters (Å, degrees): 6.766 4.873 9.418 90.00 92.20 111.11
Positions (direct):
Mn (0.214, 0.223, 0.220)
N (0.921, 0.005, 0.628)
Mn (0.000, 0.626, 0.250)
Ge (0.507, 0.714, 0.095)
Mn (0.030, 0.275, 0.493)
Ge (0.507, 0.793, 0.595)
N (0.079, 0.084, 0.872)
Mn (0.214, 0.991, 0.720)
N (0.822, 0.383, 0.390)
Mn (0.000, 0.374, 0.750)
Mn (0.786, 0.777, 0.780)
N (0.460, 0.170, 0.607)
N (0.822, 0.439, 0.890)
Mn (0.786, 0.009, 0.280)
N (0.178, 0.617, 0.610)
Ge (0.493, 0.286, 0.905)
Mn (0.970, 0.245, 0.007)
Mn (0.030, 0.755, 0.993)
N (0.460, 0.290, 0.107)
Mn (0.970, 0.725, 0.507)
N (0.921, 0.916, 0.128)
N (0.540, 0.710, 0.893)
Ge (0.493, 0.207, 0.405)
N (0.178, 0.561, 0.110)
N (0.079, 0.995, 0.372)
N (0.540, 0.830, 0.393)

Here is CdP2O6 after structural relaxation from Materials Project. Energies are from PBE-GGA.

Lattice parameters (Å, degrees): 7.168 9.822 13.866 90.00 90.00 90.00
Positions (direct):
O (0.638, 0.403, 0.326)
P (0.082, 0.200, 0.597)
P (0.582, 0.300, 0.403)
O (0.362, 0.903, 0.174)
O (0.519, 0.201, 0.628)
P (0.685, 0.288, 0.606)
O (0.844, 0.638, 0.003)
O (0.519, 0.299, 0.128)
O (0.862, 0.846, 0.895)
O (0.362, 0.846, 0.605)
O (0.019, 0.299, 0.372)
O (0.858, 0.186, 0.588)
O (0.138, 0.154, 0.105)
O (0.138, 0.403, 0.174)
O (0.862, 0.597, 0.826)
P (0.315, 0.788, 0.894)
O (0.481, 0.799, 0.372)
O (0.362, 0.597, 0.674)
O (0.358, 0.314, 0.412)
O (0.362, 0.654, 0.105)
O (0.138, 0.346, 0.605)
P (0.185, 0.212, 0.394)
O (0.638, 0.097, 0.826)
O (0.858, 0.314, 0.088)
Cd (0.051, 0.508, 0.706)
P (0.082, 0.300, 0.097)
O (0.981, 0.701, 0.628)
P (0.918, 0.700, 0.903)
P (0.815, 0.712, 0.106)
Cd (0.449, 0.008, 0.706)
O (0.981, 0.799, 0.128)
O (0.741, 0.101, 0.176)
O (0.019, 0.201, 0.872)
Cd (0.949, 0.492, 0.294)
P (0.315, 0.712, 0.394)
Cd (0.449, 0.492, 0.206)
O (0.642, 0.686, 0.588)
P (0.185, 0.288, 0.894)
O (0.358, 0.186, 0.912)
O (0.638, 0.346, 0.895)
O (0.344, 0.862, 0.997)
P (0.918, 0.800, 0.403)
O (0.241, 0.101, 0.324)
O (0.156, 0.138, 0.497)
O (0.741, 0.399, 0.676)
P (0.418, 0.700, 0.597)
Cd (0.051, 0.992, 0.206)
O (0.138, 0.097, 0.674)
O (0.759, 0.899, 0.676)
O (0.481, 0.701, 0.872)
O (0.656, 0.138, 0.003)
P (0.582, 0.200, 0.903)
O (0.142, 0.814, 0.412)
Cd (0.949, 0.008, 0.794)
O (0.344, 0.638, 0.497)
O (0.156, 0.362, 0.997)
P (0.418, 0.800, 0.097)
O (0.656, 0.362, 0.503)
O (0.844, 0.862, 0.503)
O (0.642, 0.814, 0.088)
O (0.862, 0.903, 0.326)
O (0.142, 0.686, 0.912)
O (0.259, 0.601, 0.324)
O (0.638, 0.154, 0.395)
O (0.759, 0.601, 0.176)
P (0.685, 0.212, 0.106)
O (0.862, 0.654, 0.395)
P (0.815, 0.788, 0.606)
Cd (0.551, 0.508, 0.794)
Cd (0.551, 0.992, 0.294)
O (0.259, 0.899, 0.824)
O (0.241, 0.399, 0.824)

Here is CaB2C6 after structural relaxation from Materials Project. Energies are from PBE-GGA.

Lattice parameters (Å, degrees): 6.354 5.210 5.156 75.61 52.58 51.81
Positions (direct):
C (0.082, 0.082, 0.418)
B (0.577, 0.091, 0.909)
C (0.411, 0.914, 0.086)
C (0.421, 0.421, 0.079)
Ca (0.001, 0.001, 0.999)
C (0.921, 0.921, 0.579)
B (0.091, 0.577, 0.423)
C (0.914, 0.411, 0.589)
C (0.582, 0.582, 0.918)

Here is LiGe after structural relaxation from Materials Project. Energies are from PBE-GGA.

Lattice parameters (Å, degrees): 12.022 12.022 12.022 160.51 160.51 27.70
Positions (direct):
Ge (0.500, 0.500, 0.000)
Ge (0.327, 0.327, 0.000)
Ge (0.077, 0.577, 0.500)
Li (0.750, 0.250, 0.500)
Li (0.163, 0.163, 0.000)
Li (0.587, 0.087, 0.500)
Li (0.913, 0.413, 0.500)
Ge (0.423, 0.923, 0.500)
Ge (0.250, 0.750, 0.500)
Li (0.000, 0.000, 0.000)
Ge (0.673, 0.673, 0.000)
Li (0.837, 0.837, 0.000)

Number 1: ΔH_f (0 K) -0.008 eV per atom. Number 2: ΔH_f (0 K) -2.440 eV per atom. Number 3: ΔH_f (0 K) -0.154 eV per atom. Number 4: ΔH_f (0 K) -0.275 eV per atom.